No. 1
A plane-wave DFT calculation with PBE+U was carried out for an optimized crystal structure of LiFeP4O12.

Results
- Volume: 14.01 A^3/atom

Lattice parameters (Å, degrees): 8.379 9.399 12.805 90.00 90.00 90.00
Positions (direct):
O 0.097 0.925 0.759
O 0.128 0.121 0.626
O 0.093 0.377 0.101
O 0.147 0.965 0.320
O 0.647 0.535 0.820
O 0.533 0.628 0.072
O 0.810 0.367 0.936
O 0.407 0.623 0.601
O 0.903 0.425 0.759
O 0.967 0.128 0.428
O 0.190 0.633 0.064
O 0.372 0.879 0.126
O 0.128 0.379 0.374
O 0.533 0.872 0.928
O 0.903 0.075 0.241
O 0.403 0.425 0.741
O 0.853 0.035 0.680
O 0.190 0.867 0.936
O 0.597 0.575 0.259
O 0.372 0.621 0.874
O 0.353 0.035 0.820
O 0.033 0.872 0.572
O 0.628 0.121 0.874
O 0.690 0.633 0.436
O 0.467 0.128 0.072
O 0.353 0.465 0.180
O 0.810 0.133 0.064
O 0.097 0.575 0.241
O 0.907 0.877 0.101
O 0.647 0.965 0.180
O 0.597 0.925 0.741
O 0.147 0.535 0.680
O 0.853 0.465 0.320
O 0.593 0.377 0.399
O 0.403 0.075 0.259
O 0.033 0.628 0.428
O 0.467 0.372 0.928
O 0.690 0.867 0.564
O 0.093 0.123 0.899
O 0.872 0.879 0.374
O 0.872 0.621 0.626
O 0.907 0.623 0.899
O 0.593 0.123 0.601
O 0.310 0.133 0.436
O 0.407 0.877 0.399
O 0.967 0.372 0.572
O 0.628 0.379 0.126
O 0.310 0.367 0.564
Li 0.497 0.250 0.500
Li 0.003 0.750 0.000
Li 0.997 0.250 0.000
Li 0.503 0.750 0.500
P 0.967 0.010 0.348
P 0.823 0.494 0.863
P 0.677 0.994 0.637
P 0.677 0.506 0.363
P 0.533 0.510 0.152
P 0.533 0.990 0.848
P 0.323 0.006 0.363
P 0.823 0.006 0.137
P 0.323 0.494 0.637
P 0.033 0.990 0.652
P 0.467 0.490 0.848
P 0.467 0.010 0.152
P 0.177 0.506 0.137
P 0.033 0.510 0.348
P 0.177 0.994 0.863
P 0.967 0.490 0.652
Fe 0.629 0.250 0.000
Fe 0.371 0.750 0.000
Fe 0.129 0.250 0.500
Fe 0.871 0.750 0.500

=====

No. 2
A plane-wave DFT calculation with PBE+U was carried out for an optimized crystal structure of ErMn2O3.

Results
- Volume: 14.77 A^3/atom

Lattice parameters (Å, degrees): 5.978 6.440 9.211 90.00 90.00 90.00
Positions (direct):
Er 0.500 0.108 0.831
Er 0.500 0.608 0.669
Er 0.500 0.392 0.331
Er 0.500 0.892 0.169
Mn 0.236 0.000 0.500
Mn 0.000 0.901 0.849
Mn 0.000 0.099 0.151
Mn 0.764 0.000 0.500
Mn 0.236 0.500 0.000
Mn 0.000 0.401 0.651
Mn 0.000 0.599 0.349
Mn 0.764 0.500 0.000
O 0.731 0.896 0.698
O 0.731 0.104 0.302
O 0.742 0.000 0.000
O 0.731 0.396 0.802
O 0.269 0.104 0.302
O 0.269 0.604 0.198
O 0.742 0.500 0.500
O 0.269 0.896 0.698
O 0.258 0.000 0.000
O 0.258 0.500 0.500
O 0.731 0.604 0.198
O 0.269 0.396 0.802

=====

No. 3
A plane-wave DFT calculation with PBE+U was carried out for an optimized crystal structure of Li2Fe3CoO8.

Results
- Volume: 10.49 A^3/atom

Lattice parameters (Å, degrees): 8.383 8.314 8.425 89.99 90.00 90.08
Positions (direct):
O 0.602 0.116 0.881
O 0.881 0.602 0.116
O 0.134 0.649 0.369
O 0.134 0.867 0.148
O 0.384 0.116 0.103
O 0.637 0.139 0.365
O 0.112 0.612 0.885
O 0.364 0.640 0.136
O 0.136 0.360 0.636
O 0.863 0.861 0.864
O 0.397 0.616 0.618
O 0.611 0.887 0.115
O 0.868 0.367 0.352
O 0.615 0.617 0.397
O 0.885 0.383 0.898
O 0.119 0.103 0.384
O 0.147 0.131 0.867
O 0.366 0.133 0.648
O 0.388 0.388 0.385
O 0.115 0.884 0.603
O 0.853 0.632 0.634
O 0.632 0.633 0.852
O 0.352 0.869 0.366
O 0.103 0.384 0.118
O 0.366 0.351 0.869
O 0.867 0.148 0.131
O 0.889 0.113 0.615
O 0.381 0.897 0.884
O 0.619 0.398 0.616
O 0.898 0.884 0.381
O 0.647 0.369 0.134
O 0.633 0.852 0.630
Li 0.002 0.002 0.003
Li 0.998 0.502 0.498
Li 0.248 0.248 0.247
Li 0.753 0.748 0.252
Li 0.497 0.998 0.503
Li 0.747 0.252 0.752
Li 0.502 0.498 0.998
Li 0.253 0.752 0.747
Fe 0.873 0.622 0.875
Fe 0.122 0.625 0.127
Fe 0.126 0.372 0.878
Fe 0.879 0.125 0.373
Fe 0.621 0.875 0.873
Fe 0.374 0.628 0.378
Fe 0.373 0.878 0.125
Fe 0.874 0.872 0.622
Fe 0.626 0.128 0.122
Fe 0.127 0.122 0.625
Fe 0.628 0.378 0.375
Fe 0.378 0.375 0.627
Co 0.125 0.876 0.375
Co 0.625 0.624 0.625
Co 0.875 0.376 0.125
Co 0.375 0.124 0.875

=====

No. 4
A plane-wave DFT calculation with PBE+U was carried out for an optimized crystal structure of Ta2MnO6.

Results
- Volume: 12.16 A^3/atom

Lattice parameters (Å, degrees): 18.165 18.165 5.190 89.75 89.75 149.25
Positions (direct):
Mn 0.885 0.115 0.250
Mn 0.444 0.556 0.750
Mn 0.115 0.885 0.750
Mn 0.221 0.779 0.250
Mn 0.779 0.221 0.750
Mn 0.556 0.444 0.250
Mn 0.611 0.389 0.750
Mn 0.389 0.611 0.250
O 0.173 0.052 0.924
O 0.331 0.364 0.564
O 0.669 0.636 0.436
O 0.956 0.326 0.939
O 0.437 0.312 0.599
O 0.274 0.483 0.599
O 0.782 0.987 0.609
O 0.636 0.669 0.936
O 0.300 0.998 0.938
O 0.839 0.385 0.923
O 0.893 0.849 0.082
O 0.700 0.002 0.062
O 0.326 0.956 0.439
O 0.517 0.726 0.901
O 0.792 0.495 0.929
O 0.615 0.161 0.577
O 0.726 0.517 0.401
O 0.445 0.821 0.916
O 0.112 0.648 0.617
O 0.364 0.331 0.064
O 0.385 0.839 0.423
O 0.044 0.674 0.061
O 0.483 0.274 0.099
O 0.849 0.893 0.582
O 0.505 0.208 0.571
O 0.179 0.555 0.584
O 0.312 0.437 0.099
O 0.688 0.563 0.901
O 0.052 0.173 0.424
O 0.161 0.615 0.077
O 0.495 0.792 0.429
O 0.002 0.700 0.562
O 0.151 0.107 0.418
O 0.208 0.505 0.071
O 0.987 0.782 0.109
O 0.555 0.179 0.084
O 0.821 0.445 0.416
O 0.998 0.300 0.438
O 0.648 0.112 0.117
O 0.674 0.044 0.561
O 0.352 0.888 0.883
O 0.107 0.151 0.918
O 0.827 0.948 0.076
O 0.888 0.352 0.383
O 0.948 0.827 0.576
O 0.218 0.013 0.391
O 0.563 0.688 0.401
O 0.013 0.218 0.891
Ta 0.282 0.225 0.744
Ta 0.277 0.723 0.750
Ta 0.948 0.560 0.758
Ta 0.723 0.277 0.250
Ta 0.775 0.718 0.756
Ta 0.225 0.282 0.244
Ta 0.718 0.775 0.256
Ta 0.943 0.057 0.750
Ta 0.560 0.948 0.258
Ta 0.440 0.052 0.742
Ta 0.607 0.883 0.744
Ta 0.057 0.943 0.250
Ta 0.883 0.607 0.244
Ta 0.052 0.440 0.242
Ta 0.393 0.117 0.256
Ta 0.117 0.393 0.756

=====

No. 5
A plane-wave DFT calculation with PBE+U was carried out for an optimized crystal structure of Li5FeO4.

Results
- Volume: 10.24 A^3/atom

Lattice parameters (Å, degrees): 5.605 6.779 11.017 89.89 78.18 89.76
Positions (direct):
O 0.110 0.535 0.622
O 0.374 0.474 0.882
O 0.363 0.027 0.889
O 0.103 0.968 0.626
O 0.905 0.466 0.371
O 0.868 0.023 0.384
O 0.634 0.525 0.111
O 0.600 0.963 0.123
O 0.858 0.756 0.881
O 0.095 0.731 0.142
O 0.910 0.252 0.859
O 0.338 0.763 0.392
O 0.687 0.260 0.602
O 0.602 0.751 0.640
O 0.400 0.228 0.359
O 0.167 0.267 0.118
Fe 0.325 0.751 0.568
Fe 0.680 0.261 0.432
Fe 0.171 0.253 0.948
Fe 0.826 0.759 0.060
Li 0.008 0.254 0.659
Li 0.800 0.530 0.562
Li 0.405 0.713 0.218
Li 0.890 0.753 0.701
Li 0.587 0.967 0.308
Li 0.772 0.983 0.571
Li 0.314 0.534 0.059
Li 0.911 0.471 0.196
Li 0.678 0.042 0.936
Li 0.507 0.257 0.171
Li 0.097 0.980 0.801
Li 0.098 0.213 0.289
Li 0.697 0.469 0.929
Li 0.109 0.529 0.798
Li 0.492 0.755 0.824
Li 0.988 0.755 0.335
Li 0.545 0.262 0.766
Li 0.180 0.025 0.447
Li 0.222 0.473 0.424
Li 0.277 0.967 0.080

=====

No. 6
A plane-wave DFT calculation with PBE+U was carried out for an optimized crystal structure of Sr4Li4Nb5FeO20.

Results
- Volume: 12.50 A^3/atom

Lattice parameters (Å, degrees): 13.503 13.503 5.674 90.00 90.00 155.74
Positions (direct):
Sr 0.424 0.576 0.000
Sr 0.576 0.424 0.000
Sr 0.924 0.076 0.500
Sr 0.076 0.924 0.500
O 0.902 0.602 0.751
O 0.399 0.099 0.752
O 0.728 0.272 0.500
O 0.214 0.214 0.718
O 0.076 0.924 0.000
O 0.770 0.230 0.000
O 0.230 0.770 0.000
O 0.282 0.282 0.214
O 0.099 0.399 0.752
O 0.272 0.728 0.500
O 0.602 0.902 0.751
O 0.577 0.423 0.500
O 0.901 0.601 0.248
O 0.423 0.577 0.500
O 0.786 0.786 0.282
O 0.601 0.901 0.248
O 0.924 0.076 0.000
O 0.398 0.098 0.249
O 0.098 0.398 0.249
O 0.718 0.718 0.786
Nb 0.000 0.000 0.000
Nb 0.344 0.656 0.500
Nb 0.159 0.841 0.000
Nb 0.841 0.159 0.000
Nb 0.656 0.344 0.500
Fe 0.500 0.500 0.500
Li 0.500 0.000 0.746
Li 0.000 0.500 0.254
Li 0.500 0.000 0.254
Li 0.000 0.500 0.746

=====

Number 1: ΔE_f -2550 meV per atom. Number 2: ΔE_f -2373 meV per atom. Number 3: ΔE_f -1647 meV per atom. Number 4: ΔE_f -3089 meV per atom. Number 5: ΔE_f -1995 meV per atom. Number 6: ΔE_f -2981 meV per atom.